# 1
Below is crystalline NaLaMg6O8 at its relaxed geometry, with properties calculated at the GGA-PBE level.

Values from the calculation:
crystal system: tetragonal
E (MP2020): -101.475 eV per formula unit
M_tot: 0.000 μB per formula unit

abc: 9.0144 4.5101 4.5101
angles: 90.00 90.00 90.00
Element x y z (fractional)
O1 0.5000 0.5000 0.0000
O2 0.7272 0.0000 0.0000
O3 0.7289 0.5000 0.5000
O4 0.5000 0.0000 0.5000
O5 0.0000 0.0000 0.5000
O6 0.0000 0.5000 0.0000
O7 0.2711 0.5000 0.5000
O8 0.2728 0.0000 0.0000
Mg1 0.2703 0.0000 0.5000
Mg2 0.7297 0.5000 0.0000
Mg3 0.7297 0.0000 0.5000
Mg4 0.2703 0.5000 0.0000
Mg5 0.5000 0.5000 0.5000
Mg6 0.5000 0.0000 0.0000
La1 0.0000 0.0000 0.0000
Na1 0.0000 0.5000 0.5000

# 2
Below is crystalline NaLaMg6O8 at its relaxed geometry, with properties calculated at the GGA-PBE level.

Values from the calculation:
crystal system: tetragonal
E (MP2020): -100.227 eV per formula unit
M_tot: 0.000 μB per formula unit

abc: 9.0894 4.5171 4.5171
angles: 90.00 90.00 90.00
Element x y z (fractional)
O1 0.2487 0.5000 0.5000
O2 0.7428 0.0000 0.0000
O3 0.0000 0.0000 0.5000
O4 0.2572 0.0000 0.0000
O5 0.0000 0.5000 0.0000
O6 0.5000 0.0000 0.5000
O7 0.5000 0.5000 0.0000
O8 0.7513 0.5000 0.5000
Mg1 0.2780 0.0000 0.5000
Mg2 0.7220 0.0000 0.5000
Mg3 0.7220 0.5000 0.0000
Mg4 0.0000 0.5000 0.5000
Mg5 0.2780 0.5000 0.0000
Mg6 0.5000 0.5000 0.5000
La1 0.0000 0.0000 0.0000
Na1 0.5000 0.0000 0.0000

# 3
Below is crystalline NaLaMg14O16 at its relaxed geometry, with properties calculated at the GGA-PBE level.

Values from the calculation:
crystal system: tetragonal
E (MP2020): -201.765 eV per formula unit
M_tot: 0.005 μB per formula unit

abc: 8.7431 8.7431 4.4129
angles: 90.00 90.00 90.00
Element x y z (fractional)
O1 0.5000 0.2380 0.0000
O2 0.0000 0.0000 0.5000
O3 0.7520 0.2480 0.5000
O4 0.2480 0.2480 0.5000
O5 0.0000 0.7325 0.0000
O6 0.7620 0.5000 0.0000
O7 0.2480 0.7520 0.5000
O8 0.2675 0.0000 0.0000
O9 0.2380 0.5000 0.0000
O10 0.7520 0.7520 0.5000
O11 0.0000 0.2675 0.0000
O12 0.5000 0.7620 0.0000
O13 0.5000 0.5000 0.5000
O14 0.5000 0.0000 0.5000
O15 0.7325 0.0000 0.0000
O16 0.0000 0.5000 0.5000
Mg1 0.7374 0.7374 0.0000
Mg2 0.0000 0.7305 0.5000
Mg3 0.2626 0.2626 0.0000
Mg4 0.0000 0.5000 0.0000
Mg5 0.2626 0.7374 0.0000
Mg6 0.2695 0.0000 0.5000
Mg7 0.5000 0.7435 0.5000
Mg8 0.5000 0.0000 0.0000
Mg9 0.7305 0.0000 0.5000
Mg10 0.7435 0.5000 0.5000
Mg11 0.5000 0.2565 0.5000
Mg12 0.2565 0.5000 0.5000
Mg13 0.0000 0.2695 0.5000
Mg14 0.7374 0.2626 0.0000
La1 0.0000 0.0000 0.0000
Na1 0.5000 0.5000 0.0000

# 4
Below is crystalline NaLaMg14O16 at its relaxed geometry, with properties calculated at the GGA-PBE level.

Values from the calculation:
crystal system: orthorhombic
E (MP2020): -201.450 eV per formula unit
M_tot: 0.000 μB per formula unit

abc: 8.7038 8.8321 4.4002
angles: 90.00 90.00 90.00
Element x y z (fractional)
O1 0.2496 0.7515 0.5000
O2 0.7504 0.2485 0.5000
O3 0.2710 0.0000 0.0000
O4 0.5000 0.2503 0.0000
O5 0.7323 0.5000 0.0000
O6 0.0000 0.7416 0.0000
O7 0.2496 0.2485 0.5000
O8 0.7290 0.0000 0.0000
O9 0.0000 0.0000 0.5000
O10 0.5000 0.7497 0.0000
O11 0.2676 0.5000 0.0000
O12 0.0000 0.5000 0.5000
O13 0.7504 0.7515 0.5000
O14 0.0000 0.2584 0.0000
O15 0.5000 0.5000 0.5000
O16 0.5000 0.0000 0.5000
Na1 0.0000 0.5000 0.0000
Mg1 0.0000 0.7273 0.5000
Mg2 0.2568 0.7367 0.0000
Mg3 0.7333 0.0000 0.5000
Mg4 0.7432 0.2633 0.0000
Mg5 0.5000 0.5000 0.0000
Mg6 0.7509 0.5000 0.5000
Mg7 0.0000 0.2727 0.5000
Mg8 0.5000 0.2545 0.5000
Mg9 0.5000 0.7455 0.5000
Mg10 0.7432 0.7367 0.0000
Mg11 0.2667 0.0000 0.5000
Mg12 0.5000 0.0000 0.0000
Mg13 0.2568 0.2633 0.0000
Mg14 0.2491 0.5000 0.5000
La1 0.0000 0.0000 0.0000